Al5W | the Materials Project database | meta-GGA r2SCAN | relaxed; uncorrected energy = -14.36 eV per atom; calculated formation energy = -0.19 eV/atom; magnetization = 0.00 μB per formula unit
1.0
4.8637 0.0000 0.0000
-2.4319 4.2121 0.0000
0.0000 0.0000 8.8322
Al W
10 2
Direct
0.0000 0.0000 0.0000 Al
0.6625 0.0000 0.2500 Al
0.0000 0.6625 0.2500 Al
0.0000 0.3375 0.7500 Al
0.6625 0.6625 0.7500 Al
0.3333 0.6667 0.0000 Al
0.3375 0.3375 0.2500 Al
0.3375 0.0000 0.7500 Al
0.0000 0.0000 0.5000 Al
0.6667 0.3333 0.5000 Al
0.6667 0.3333 0.0000 W
0.3333 0.6667 0.5000 W